No. 1
An optimized crystal structure of HoTa3, computed with PBE.

abc: 6.867 6.867 6.867
angles: 90.00 90.00 90.00
Space group Fm-3m (No. 225)
Asymmetric unit:
Ho 0.000 0.000 0.000 [4 per cell]
Ta 0.000 0.000 0.500 [4 per cell]
Ta 0.250 0.250 0.250 [8 per cell]

=====

No. 2
An optimized crystal structure of TbHo3, computed with PBE.

abc: 4.991 4.991 4.991
angles: 90.00 90.00 90.00
Space group Pm-3m (No. 221)
Asymmetric unit:
Tb 0.000 0.000 0.000 [1 per cell]
Ho 0.000 0.500 0.500 [3 per cell]

=====

No. 3
An optimized crystal structure of TbHo3, computed with PBE.

abc: 4.988 4.988 10.016
angles: 90.00 90.00 90.00
Space group I4/mmm (No. 139)
Asymmetric unit:
Tb 0.000 0.000 0.000 [2 per cell]
Ho 0.000 0.000 0.500 [2 per cell]
Ho 0.000 0.500 0.250 [4 per cell]

=====

No. 4
An optimized crystal structure of HoTe2, computed with PBE.

abc: 4.438 4.438 8.874
angles: 90.00 90.00 90.00
Space group P4/nmm (No. 129, origin choice 2)
Asymmetric unit:
Ho 0.250 0.250 0.229 [2 per cell]
Te 0.250 0.250 0.872 [2 per cell]
Te 0.250 0.750 0.500 [2 per cell]

=====

No. 5
An optimized crystal structure of Ho2Te3, computed with PBE.

abc: 8.677 12.235 26.198
angles: 90.00 90.00 90.00
Space group Fddd (No. 70, origin choice 2)
Asymmetric unit:
Ho 0.125 0.125 0.042 [16 per cell]
Ho 0.125 0.125 0.375 [16 per cell]
Te 0.122 0.375 0.875 [16 per cell]
Te 0.124 0.375 0.208 [32 per cell]

=====

No. 6
An optimized crystal structure of Ho2Te5, computed with PBE.

abc: 4.380 43.731 4.382
angles: 90.00 90.00 90.00
Space group Cmcm (No. 63)
Asymmetric unit:
Ho 0.000 0.100 0.250 [4 per cell]
Ho 0.000 0.306 0.250 [4 per cell]
Te 0.000 0.044 0.750 [4 per cell]
Te 0.000 0.174 0.250 [4 per cell]
Te 0.000 0.250 0.750 [4 per cell]
Te 0.000 0.379 0.250 [4 per cell]
Te 0.000 0.456 0.750 [4 per cell]

=====

No. 7
An optimized crystal structure of HoTlTe2, computed with PBE.

abc: 4.4314 4.4314 24.7166
angles: 90.00 90.00 120.00
Space group R-3m (No. 166, hexagonal axes)
Asymmetric unit:
Ho 0.0000 0.0000 0.0000 [3 per cell]
Tl 0.0000 0.0000 0.5000 [3 per cell]
Te 0.0000 0.0000 0.2630 [6 per cell]

=====

No. 8
An optimized crystal structure of HoUTe3, computed with PBE.

abc: 12.061 4.276 11.856
angles: 90.00 90.00 90.00
Space group Pnma (No. 62)
Asymmetric unit:
Ho 0.194 0.250 0.003 [4 per cell]
U 0.007 0.250 0.689 [4 per cell]
Te 0.045 0.750 0.878 [4 per cell]
Te 0.123 0.250 0.447 [4 per cell]
Te 0.230 0.750 0.199 [4 per cell]

=====

Ordered total DFT energy (no corrections) results: -9.659; -4.570; -4.571; -4.745; -5.116; -4.520; -4.353; -5.911; unit eV per atom.
Ordered calculated volume results: 20.24; 31.07; 31.15; 29.13; 34.76; 29.97; 35.03; 30.57; unit Å³/atom.
Ordered formation energy results: 0.38; 0.02; 0.02; -1.40; -1.65; -1.27; -1.26; -1.10; unit eV/atom.